# 1
Entry from Materials Project: an optimized crystal structure of YbGaCoO4 (r²SCAN).

Unit cell a=8.5850 b=8.5850 c=8.5850 alpha=22.79 beta=22.79 gamma=22.79
Last column: nearest neighbours and their distance in Å.
Positions (direct):
Yb (0.0000, 0.0000, 0.0000)  6 O 2.21-2.23
Ga (0.2150, 0.2150, 0.2150)  5 O 1.91-1.96
Co (0.7857, 0.7857, 0.7857)  4 O 1.96-2.02
O (0.1380, 0.1380, 0.1380)  1 Ga 1.93, 3 Co 2.02
O (0.2912, 0.2912, 0.2912)  1 Ga 1.91
O (0.7074, 0.7074, 0.7074)  1 Co 1.96
O (0.8799, 0.8799, 0.8799)  3 Ga 1.96

For the formation energy from the elements, the calculation gives -1696 kJ/mol of formula units. For the density, the calculation gives 7.29 g/cm3. As for the size of the total moment: 3.00 Bohr magnetons per cell. The value obtained for the raw total energy is -1.078 Ry/atom.

# 2
Entry from Materials Project: an optimized crystal structure of Pr8Ga3Co (r²SCAN).

Unit cell a=10.5155 b=10.5155 c=7.1123 alpha=90.00 beta=90.00 gamma=120.00
Last column: nearest neighbours and their distance in Å.
Positions (direct):
Pr (0.0000, 0.0000, 0.1050)  6 Ga 3.44-3.53, 8 Pr 3.47-3.70
Pr (0.0000, 0.0000, 0.6050)  6 Ga 3.44-3.53, 8 Pr 3.47-3.70
Pr (0.0748, 0.5374, 0.1193)  1 Co 2.87
Pr (0.1705, 0.3411, 0.8216)  1 Co 3.00, 3 Ga 3.07-3.24
Pr (0.1705, 0.8295, 0.8216)  1 Co 3.00, 3 Ga 3.07-3.24
Pr (0.3333, 0.6667, 0.5000)  1 Co 2.76
Pr (0.3411, 0.1705, 0.3216)  1 Co 3.00, 3 Ga 3.07-3.24
Pr (0.4626, 0.5374, 0.1193)  1 Co 2.87
Pr (0.4626, 0.9252, 0.1193)  1 Co 2.87
Pr (0.5374, 0.0748, 0.6193)  1 Co 2.87
Pr (0.5374, 0.4626, 0.6193)  1 Co 2.87
Pr (0.6589, 0.8295, 0.8216)  1 Co 3.00, 3 Ga 3.07-3.24
Pr (0.6667, 0.3333, 0.0000)  1 Co 2.76
Pr (0.8295, 0.1705, 0.3216)  1 Co 3.00, 3 Ga 3.07-3.24
Pr (0.8295, 0.6589, 0.3216)  1 Co 3.00, 3 Ga 3.07-3.24
Pr (0.9252, 0.4626, 0.6193)  1 Co 2.87
Ga (0.1645, 0.3290, 0.3667)  6 Pr 3.07-3.29
Ga (0.1645, 0.8355, 0.3667)  6 Pr 3.07-3.29
Ga (0.3290, 0.1645, 0.8667)  6 Pr 3.07-3.29
Ga (0.6710, 0.8355, 0.3667)  6 Pr 3.07-3.29
Ga (0.8355, 0.1645, 0.8667)  6 Pr 3.07-3.29
Ga (0.8355, 0.6710, 0.8667)  6 Pr 3.07-3.29
Co (0.3333, 0.6667, 0.8876)  7 Pr 2.76-3.00
Co (0.6667, 0.3333, 0.3876)  7 Pr 2.76-3.00

For the formation energy from the elements, the calculation gives -408 kJ/mol of formula units. For the density, the calculation gives 6.80 g/cm3. As for the size of the total moment: 0.17 Bohr magnetons per cell. The value obtained for the raw total energy is -1.758 Ry/atom.

# 3
Entry from Materials Project: an optimized crystal structure of Ga2CoRu (r²SCAN).

Unit cell a=4.1444 b=4.1444 c=4.1444 alpha=60.00 beta=60.00 gamma=60.00
Last column: nearest neighbours and their distance in Å.
Positions (direct):
Ga (0.2500, 0.2500, 0.2500)  4 Co 2.54, 4 Ru 2.54
Ga (0.7500, 0.7500, 0.7500)  4 Co 2.54, 4 Ru 2.54
Co (0.0000, 0.0000, 0.0000)  8 Ga 2.54
Ru (0.5000, 0.5000, 0.5000)  8 Ga 2.54

For the formation energy from the elements, the calculation gives -107 kJ/mol of formula units. For the density, the calculation gives 9.88 g/cm3. As for the size of the total moment: 0.00 Bohr magnetons per cell. The value obtained for the raw total energy is -1.151 Ry/atom.

# 4
Entry from Materials Project: an optimized crystal structure of Sc2Ga8Co (r²SCAN).

Unit cell a=4.0837 b=4.0837 c=10.6805 alpha=90.00 beta=90.00 gamma=90.00
Last column: nearest neighbours and their distance in Å.
Positions (direct):
Sc (0.0000, 0.0000, 0.1914)  12 Ga 2.86-2.89
Sc (0.0000, 0.0000, 0.8086)  12 Ga 2.86-2.89
Ga (0.0000, 0.5000, 0.0000)  8 Ga 2.89-2.91, 4 Sc 2.89
Ga (0.0000, 0.5000, 0.3791)  2 Co 2.42, 1 Ga 2.58
Ga (0.0000, 0.5000, 0.6209)  2 Co 2.42, 1 Ga 2.58
Ga (0.5000, 0.0000, 0.0000)  8 Ga 2.89-2.91, 4 Sc 2.89
Ga (0.5000, 0.0000, 0.3791)  2 Co 2.42, 1 Ga 2.58
Ga (0.5000, 0.0000, 0.6209)  2 Co 2.42, 1 Ga 2.58
Ga (0.5000, 0.5000, 0.1940)  8 Ga 2.84-2.91, 4 Sc 2.89
Ga (0.5000, 0.5000, 0.8060)  8 Ga 2.84-2.91, 4 Sc 2.89
Co (0.0000, 0.0000, 0.5000)  8 Ga 2.42

For the formation energy from the elements, the calculation gives -497 kJ/mol of formula units. For the density, the calculation gives 6.59 g/cm3. As for the size of the total moment: 0.00 Bohr magnetons per cell. The value obtained for the raw total energy is -0.887 Ry/atom.

# 5
Entry from Materials Project: an optimized crystal structure of ScGa5Co (r²SCAN).

Unit cell a=4.0990 b=4.0990 c=6.5594 alpha=90.00 beta=90.00 gamma=90.00
Last column: nearest neighbours and their distance in Å.
Positions (direct):
Sc (0.0000, 0.0000, 0.0000)  12 Ga 2.86-2.90
Ga (0.0000, 0.5000, 0.3037)  2 Co 2.42, 1 Ga 2.58
Ga (0.0000, 0.5000, 0.6963)  2 Co 2.42, 1 Ga 2.58
Ga (0.5000, 0.0000, 0.3037)  2 Co 2.42, 1 Ga 2.58
Ga (0.5000, 0.0000, 0.6963)  2 Co 2.42, 1 Ga 2.58
Ga (0.5000, 0.5000, 0.0000)  8 Ga 2.86, 4 Sc 2.90
Co (0.0000, 0.0000, 0.5000)  8 Ga 2.42

For the formation energy from the elements, the calculation gives -300 kJ/mol of formula units. For the density, the calculation gives 6.82 g/cm3. As for the size of the total moment: 0.00 Bohr magnetons per cell. The value obtained for the raw total energy is -0.892 Ry/atom.

# 6
Entry from Materials Project: an optimized crystal structure of Sm2GaCo2 (r²SCAN).

Unit cell a=5.6005 b=5.6005 c=5.6005 alpha=134.98 beta=126.22 gamma=72.67
Last column: nearest neighbours and their distance in Å.
Positions (direct):
Sm (0.1913, 0.1913, 0.0000)  6 Co 3.00-3.09, 2 Ga 3.07
Sm (0.8087, 0.8087, 0.0000)  6 Co 3.00-3.09, 2 Ga 3.07
Ga (0.5000, 0.0000, 0.5000)  4 Co 2.53
Co (0.2343, 0.5000, 0.7343)  1 Co 2.37, 2 Ga 2.53
Co (0.7657, 0.5000, 0.2657)  1 Co 2.37, 2 Ga 2.53

For the formation energy from the elements, the calculation gives -131 kJ/mol of formula units. For the density, the calculation gives 8.27 g/cm3. As for the size of the total moment: 2.41 Bohr magnetons per cell. The value obtained for the raw total energy is -1.451 Ry/atom.

# 7
Entry from Materials Project: an optimized crystal structure of Sm4Ga16Co3 (r²SCAN).

Unit cell a=6.0280 b=6.0280 c=11.1336 alpha=90.00 beta=90.00 gamma=90.00
Last column: nearest neighbours and their distance in Å.
Positions (direct):
Sm (0.0000, 0.5000, 0.1960)  12 Ga 3.01-3.06
Sm (0.0000, 0.5000, 0.8040)  12 Ga 3.01-3.06
Sm (0.5000, 0.0000, 0.1960)  12 Ga 3.01-3.06
Sm (0.5000, 0.0000, 0.8040)  12 Ga 3.01-3.06
Ga (0.0000, 0.0000, 0.1922)  8 Ga 2.84-3.05, 4 Sm 3.01
Ga (0.0000, 0.0000, 0.8078)  8 Ga 2.84-3.05, 4 Sm 3.01
Ga (0.2188, 0.2188, 0.0000)  1 Co 2.40, 2 Ga 2.64
Ga (0.2188, 0.7812, 0.0000)  1 Co 2.40, 2 Ga 2.64
Ga (0.2513, 0.2513, 0.3869)  2 Co 2.48, 1 Ga 2.52
Ga (0.2513, 0.2513, 0.6131)  2 Co 2.48, 1 Ga 2.52
Ga (0.2513, 0.7487, 0.3869)  2 Co 2.48, 1 Ga 2.52
Ga (0.2513, 0.7487, 0.6131)  2 Co 2.48, 1 Ga 2.52
Ga (0.5000, 0.5000, 0.2196)  1 Co 2.45
Ga (0.5000, 0.5000, 0.7804)  1 Co 2.45
Ga (0.7487, 0.2513, 0.3869)  2 Co 2.48, 1 Ga 2.52
Ga (0.7487, 0.2513, 0.6131)  2 Co 2.48, 1 Ga 2.52
Ga (0.7487, 0.7487, 0.3869)  2 Co 2.48, 1 Ga 2.52
Ga (0.7487, 0.7487, 0.6131)  2 Co 2.48, 1 Ga 2.52
Ga (0.7812, 0.2188, 0.0000)  1 Co 2.40, 2 Ga 2.64
Ga (0.7812, 0.7812, 0.0000)  1 Co 2.40, 2 Ga 2.64
Co (0.0000, 0.5000, 0.5000)  8 Ga 2.48
Co (0.5000, 0.0000, 0.5000)  8 Ga 2.48
Co (0.5000, 0.5000, 0.0000)  6 Ga 2.40-2.45

For the formation energy from the elements, the calculation gives -1163 kJ/mol of formula units. For the density, the calculation gives 7.77 g/cm3. As for the size of the total moment: 0.00 Bohr magnetons per cell. The value obtained for the raw total energy is -1.131 Ry/atom.

# 8
Entry from Materials Project: an optimized crystal structure of Tb2GaCo2 (r²SCAN).

Unit cell a=5.3610 b=5.3610 c=5.3610 alpha=134.92 beta=120.28 gamma=77.85
Last column: nearest neighbours and their distance in Å.
Positions (direct):
Tb (0.2059, 0.2059, 0.0000)  6 Co 2.89-2.91, 4 Ga 3.17-3.20
Tb (0.7941, 0.7941, 0.0000)  6 Co 2.89-2.91, 4 Ga 3.17-3.20
Ga (0.5000, 0.0000, 0.5000)  4 Co 2.56
Co (0.2136, 0.5000, 0.7136)  1 Co 2.28
Co (0.7864, 0.5000, 0.2864)  1 Co 2.28

For the formation energy from the elements, the calculation gives -159 kJ/mol of formula units. For the density, the calculation gives 9.17 g/cm3. As for the size of the total moment: 1.11 Bohr magnetons per cell. The value obtained for the raw total energy is -1.500 Ry/atom.

# 9
Entry from Materials Project: an optimized crystal structure of ThGa4Co (r²SCAN).

Unit cell a=8.0723 b=8.0723 c=6.5579 alpha=90.00 beta=90.00 gamma=150.31
Last column: nearest neighbours and their distance in Å.
Positions (direct):
Th (0.1157, 0.8843, 0.7500)  13 Ga 3.02-3.33, 2 Co 3.22
Th (0.8843, 0.1157, 0.2500)  13 Ga 3.02-3.33, 2 Co 3.22
Ga (0.0781, 0.9219, 0.2500)  1 Co 2.32
Ga (0.3087, 0.6913, 0.5564)  3 Co 2.38-2.49, 1 Ga 2.54
Ga (0.3087, 0.6913, 0.9436)  3 Co 2.38-2.49, 1 Ga 2.54
Ga (0.5000, 0.5000, 0.0000)  6 Ga 2.91-3.01, 4 Th 3.20
Ga (0.5000, 0.5000, 0.5000)  6 Ga 2.91-3.01, 4 Th 3.20
Ga (0.6913, 0.3087, 0.0564)  3 Co 2.38-2.49, 1 Ga 2.54
Ga (0.6913, 0.3087, 0.4436)  3 Co 2.38-2.49, 1 Ga 2.54
Ga (0.9219, 0.0781, 0.7500)  1 Co 2.32
Co (0.2265, 0.7735, 0.2500)  7 Ga 2.32-2.49
Co (0.7735, 0.2265, 0.7500)  7 Ga 2.32-2.49

For the formation energy from the elements, the calculation gives -275 kJ/mol of formula units. For the density, the calculation gives 8.94 g/cm3. As for the size of the total moment: 0.00 Bohr magnetons per cell. The value obtained for the raw total energy is -1.658 Ry/atom.

# 10
Entry from Materials Project: an optimized crystal structure of TiGa5Co (r²SCAN).

Unit cell a=4.0286 b=4.0286 c=6.4418 alpha=90.00 beta=90.00 gamma=90.00
Last column: nearest neighbours and their distance in Å.
Positions (direct):
Ti (0.0000, 0.0000, 0.0000)  12 Ga 2.78-2.85
Ga (0.0000, 0.5000, 0.2980)  2 Co 2.40, 1 Ga 2.60
Ga (0.0000, 0.5000, 0.7020)  2 Co 2.40, 1 Ga 2.60
Ga (0.5000, 0.0000, 0.2980)  2 Co 2.40, 1 Ga 2.60
Ga (0.5000, 0.0000, 0.7020)  2 Co 2.40, 1 Ga 2.60
Ga (0.5000, 0.5000, 0.0000)  8 Ga 2.78, 4 Ti 2.85
Co (0.0000, 0.0000, 0.5000)  8 Ga 2.40

For the formation energy from the elements, the calculation gives -222 kJ/mol of formula units. For the density, the calculation gives 7.23 g/cm3. As for the size of the total moment: 0.00 Bohr magnetons per cell. The value obtained for the raw total energy is -0.900 Ry/atom.

# 11
Entry from Materials Project: an optimized crystal structure of Tm8Ga3Co (r²SCAN).

Unit cell a=9.7919 b=9.7919 c=6.8130 alpha=90.00 beta=90.00 gamma=120.00
Last column: nearest neighbours and their distance in Å.
Positions (direct):
Tm (0.0000, 0.0000, 0.0978)  6 Ga 3.18-3.34, 8 Tm 3.30-3.50
Tm (0.0000, 0.0000, 0.5978)  6 Ga 3.18-3.34, 8 Tm 3.30-3.50
Tm (0.0732, 0.5366, 0.1202)  1 Co 2.72
Tm (0.1733, 0.3466, 0.8191)  1 Co 2.75, 3 Ga 2.88-3.06
Tm (0.1733, 0.8267, 0.8191)  1 Co 2.75, 3 Ga 2.88-3.06
Tm (0.3333, 0.6667, 0.5000)  1 Co 2.63
Tm (0.3466, 0.1733, 0.3191)  1 Co 2.75, 3 Ga 2.88-3.06
Tm (0.4634, 0.5366, 0.1202)  1 Co 2.72
Tm (0.4634, 0.9268, 0.1202)  1 Co 2.72
Tm (0.5366, 0.0732, 0.6202)  1 Co 2.72
Tm (0.5366, 0.4634, 0.6202)  1 Co 2.72
Tm (0.6534, 0.8267, 0.8191)  1 Co 2.75, 3 Ga 2.88-3.06
Tm (0.6667, 0.3333, 0.0000)  1 Co 2.63
Tm (0.8267, 0.1733, 0.3191)  1 Co 2.75, 3 Ga 2.88-3.06
Tm (0.8267, 0.6534, 0.3191)  1 Co 2.75, 3 Ga 2.88-3.06
Tm (0.9268, 0.4634, 0.6202)  1 Co 2.72
Ga (0.1637, 0.3273, 0.3700)  7 Tm 2.88-3.18
Ga (0.1637, 0.8363, 0.3700)  7 Tm 2.88-3.18
Ga (0.3273, 0.1637, 0.8700)  7 Tm 2.88-3.18
Ga (0.6727, 0.8363, 0.3700)  7 Tm 2.88-3.18
Ga (0.8363, 0.1637, 0.8700)  7 Tm 2.88-3.18
Ga (0.8363, 0.6727, 0.8700)  7 Tm 2.88-3.18
Co (0.3333, 0.6667, 0.8859)  7 Tm 2.63-2.75
Co (0.6667, 0.3333, 0.3859)  7 Tm 2.63-2.75

For the formation energy from the elements, the calculation gives -551 kJ/mol of formula units. For the density, the calculation gives 9.51 g/cm3. As for the size of the total moment: 0.00 Bohr magnetons per cell. The value obtained for the raw total energy is -2.047 Ry/atom.

# 12
Entry from Materials Project: an optimized crystal structure of TmGa5Co (r²SCAN).

Unit cell a=4.1523 b=4.1523 c=6.7116 alpha=90.00 beta=90.00 gamma=90.00
Last column: nearest neighbours and their distance in Å.
Positions (direct):
Tm (0.0000, 0.0000, 0.0000)  12 Ga 2.94
Ga (0.0000, 0.5000, 0.3099)  2 Co 2.44, 1 Ga 2.55
Ga (0.0000, 0.5000, 0.6901)  2 Co 2.44, 1 Ga 2.55
Ga (0.5000, 0.0000, 0.3099)  2 Co 2.44, 1 Ga 2.55
Ga (0.5000, 0.0000, 0.6901)  2 Co 2.44, 1 Ga 2.55
Ga (0.5000, 0.5000, 0.0000)  4 Tm 2.94, 8 Ga 2.94
Co (0.0000, 0.0000, 0.5000)  8 Ga 2.44

For the formation energy from the elements, the calculation gives -309 kJ/mol of formula units. For the density, the calculation gives 8.27 g/cm3. As for the size of the total moment: 0.00 Bohr magnetons per cell. The value obtained for the raw total energy is -1.142 Ry/atom.